No. 1
DFT (r²SCAN) results for a geometry-optimized YGe structure.

crystal system	orthorhombic
raw total energy	-18.07	eV/atom
energy of formation from the pure elements	-976	meV per atom
calculated density	5.91	g/cm3
V	90.8	Å³/cell

Cell lengths 3.9546, 4.2826, 5.7739 Å; angles 111.77, 90.00, 90.00 degrees
Positions (direct):
Y: 0.2500 0.8614 0.7228
Y: 0.7500 0.1386 0.2772
Ge: 0.2500 0.5844 0.1688
Ge: 0.7500 0.4156 0.8312



No. 2
DFT (r²SCAN) results for a geometry-optimized Y2ZnS4 structure.

crystal system	orthorhombic
raw total energy	-13.64	eV/atom
energy of formation from the pure elements	-1968	meV per atom
calculated density	3.67	g/cm3
V	672.5	Å³/cell

Cell lengths 6.3045, 7.8877, 13.5232 Å; angles 90.00, 90.00, 90.00 degrees
Positions (direct):
Y: 0.0000 0.5000 0.0000
Y: 0.5000 0.0000 0.5000
Y: 0.0000 0.0000 0.0000
Y: 0.5000 0.5000 0.5000
Y: 0.0049 0.7500 0.2663
Y: 0.4951 0.7500 0.7663
Y: 0.9951 0.2500 0.7337
Y: 0.5049 0.2500 0.2337
Zn: 0.5885 0.7500 0.0920
Zn: 0.9115 0.7500 0.5920
Zn: 0.4115 0.2500 0.9080
Zn: 0.0885 0.2500 0.4080
S: 0.2262 0.7500 0.0904
S: 0.2738 0.7500 0.5904
S: 0.7738 0.2500 0.9096
S: 0.7262 0.2500 0.4096
S: 0.7589 0.7500 0.4314
S: 0.7411 0.7500 0.9314
S: 0.2411 0.2500 0.5686
S: 0.2589 0.2500 0.0686
S: 0.7538 0.5154 0.1678
S: 0.7462 0.9846 0.6678
S: 0.2462 0.0154 0.8322
S: 0.2538 0.4846 0.3322
S: 0.2462 0.4846 0.8322
S: 0.2538 0.0154 0.3322
S: 0.7538 0.9846 0.1678
S: 0.7462 0.5154 0.6678



No. 3
DFT (r²SCAN) results for a geometry-optimized PtF6 structure.

crystal system	orthorhombic
raw total energy	-11.19	eV/atom
energy of formation from the pure elements	-1152	meV per atom
calculated density	5.54	g/cm3
V	370.3	Å³/cell

Cell lengths 4.8444, 8.4228, 9.0753 Å; angles 90.00, 90.00, 90.00 degrees
Positions (direct):
Pt: 0.9133 0.7500 0.1261
Pt: 0.4133 0.2500 0.3739
Pt: 0.0867 0.2500 0.8739
Pt: 0.5867 0.7500 0.6261
F: 0.2293 0.7500 0.0069
F: 0.7293 0.2500 0.4931
F: 0.7707 0.2500 0.9931
F: 0.2707 0.7500 0.5069
F: 0.5967 0.7500 0.2452
F: 0.0967 0.2500 0.2548
F: 0.4033 0.2500 0.7548
F: 0.9033 0.7500 0.7452
F: 0.7573 0.9078 0.0072
F: 0.2573 0.0922 0.4928
F: 0.2427 0.4078 0.9928
F: 0.7427 0.5922 0.5072
F: 0.2427 0.0922 0.9928
F: 0.7427 0.9078 0.5072
F: 0.7573 0.5922 0.0072
F: 0.2573 0.4078 0.4928
F: 0.0677 0.9073 0.2458
F: 0.5677 0.0927 0.2542
F: 0.9323 0.4073 0.7542
F: 0.4323 0.5927 0.7458
F: 0.9323 0.0927 0.7542
F: 0.4323 0.9073 0.7458
F: 0.0677 0.5927 0.2458
F: 0.5677 0.4073 0.2542